(1)
DFT (PBE) results for a relaxed TeMoWSeS2 crystal.

```
12
Lattice="3.306 0.000 0.000 -1.653 2.863 0.000 0.000 0.000 44.776" Properties=species:S:1:pos:R:3 pbc="T T T"
Te 0.000 0.000 0.000
Te 0.000 0.000 3.824
Mo 1.653 0.954 1.914
Mo 1.653 0.954 29.742
W 0.000 0.000 10.328
W 0.000 0.000 37.973
Se 1.653 0.954 36.286
Se 1.653 0.954 39.661
S 0.000 0.000 28.214
S 0.000 0.000 31.269
S 1.653 0.954 8.794
S 1.653 0.954 11.864
```

Computed properties:
- DFT formation energy: -4.464 eV/f.u.
- Total energy: -7.029 eV/atom
- Magnetization: 0.001 Bohr magnetons per cell

(2)
DFT (PBE) results for a relaxed Cs2TlRuF6 crystal.

```
10
Lattice="0.000 4.726 4.726 4.726 0.000 4.726 4.726 4.726 0.000" Properties=species:S:1:pos:R:3 pbc="T T T"
Cs 2.363 2.363 2.363
Cs 7.089 7.089 7.089
Tl 0.000 0.000 0.000
Ru 4.726 4.726 4.726
F 4.726 4.726 2.689
F 4.726 2.689 4.726
F 6.764 4.726 4.726
F 2.689 4.726 4.726
F 4.726 6.764 4.726
F 4.726 4.726 6.764
```

Computed properties:
- DFT formation energy: -24.077 eV/f.u.
- Total energy: -4.622 eV/atom
- Magnetization: 1.000 Bohr magnetons per cell

(3)
DFT (PBE) results for a relaxed ZnSiAs2 crystal.

```
4
Lattice="2.005 1.158 6.494 -2.005 1.158 6.494 0.000 -2.315 6.494" Properties=species:S:1:pos:R:3 pbc="T T T"
Zn 0.000 0.000 0.000
Si 0.000 0.000 10.033
As 0.000 0.000 2.562
As 0.000 0.000 12.348
```

Computed properties:
- DFT formation energy: -0.399 eV/f.u.
- Total energy: -4.101 eV/atom
- Magnetization: 0.000 Bohr magnetons per cell

(4)
DFT (PBE) results for a relaxed Ca2Al4Si8H14O31 crystal.

```
59
Lattice="9.109 0.000 0.000 0.072 9.155 0.000 0.873 2.094 9.527" Properties=species:S:1:pos:R:3 pbc="T T T"
Ca 0.000 0.000 0.000
Ca 3.613 10.260 6.132
Al 3.695 2.749 3.328
Al 6.275 6.957 9.520
Al 6.918 3.331 7.262
Al 7.750 6.667 3.579
Si 0.844 4.829 1.964
Si 3.312 4.735 4.812
Si 4.003 9.450 2.244
Si 5.418 7.380 1.651
Si 5.854 5.999 6.173
Si 7.835 10.167 6.473
Si 8.604 6.170 9.483
Si 8.922 8.798 3.612
H 0.690 5.418 4.098
H 0.929 8.449 6.083
H 1.328 3.471 2.318
H 1.959 6.579 5.168
H 2.375 8.114 1.699
H 3.303 10.422 8.774
H 3.438 7.240 9.449
H 2.916 5.632 2.142
H 3.754 2.616 0.806
H 5.651 7.325 6.801
H 5.886 0.334 0.391
H 7.833 1.644 4.210
H 8.281 8.105 7.491
H 9.232 5.001 8.806
O 1.419 9.047 4.259
O 1.777 8.320 5.518
O 1.891 5.608 4.927
O 2.561 10.461 8.138
O 2.075 5.873 1.663
O 2.588 9.033 1.435
O 3.004 3.119 5.017
O 3.632 6.547 8.771
O 3.863 4.543 3.251
O 3.731 2.062 1.670
O 4.107 1.058 3.733
O 4.341 5.441 5.817
O 4.827 5.908 9.348
O 4.349 7.830 2.812
O 4.818 6.425 0.504
O 5.488 2.212 6.979
O 5.394 9.073 1.173
O 6.110 10.012 6.581
O 6.516 4.971 7.243
O 6.768 6.093 4.856
O 6.471 3.743 0.938
O 6.881 6.892 2.087
O 7.693 2.714 8.812
O 7.801 7.221 8.492
O 8.129 10.461 8.337
O 7.948 9.904 4.608
O 8.069 2.598 6.162
O 8.599 8.723 6.682
O 8.949 9.483 2.170
O 9.085 5.358 3.320
O 8.988 4.857 0.685
```

Computed properties:
- DFT formation energy: -124.451 eV/f.u.
- Total energy: -6.211 eV/atom
- Magnetization: 0.000 Bohr magnetons per cell

(5)
DFT (PBE) results for a relaxed YP3O9 crystal.

```
26
Lattice="6.858 0.000 0.000 2.408 7.347 0.000 2.495 1.741 7.692" Properties=species:S:1:pos:R:3 pbc="T T T"
Y 0.000 0.000 0.000
Y 5.027 4.089 5.315
P 1.879 2.310 2.797
P 5.705 7.277 3.507
P 3.473 1.219 0.860
P 7.673 8.016 5.494
P 9.219 6.671 6.368
P 8.622 4.219 5.088
O 2.628 3.258 5.877
O 2.460 1.252 3.891
O 3.124 2.490 1.809
O 4.838 2.909 7.556
O 5.113 6.045 4.062
O 6.444 7.958 6.369
O 5.704 7.308 1.919
O 4.867 3.152 3.517
O 7.194 7.506 3.971
O 5.986 1.974 5.263
O 7.208 4.513 5.434
O 4.881 1.223 0.404
O 8.640 5.931 7.506
O 7.517 1.800 2.151
O 9.497 5.575 5.064
O 10.496 7.471 6.502
O 8.947 6.202 1.768
O 8.679 3.696 3.537
```

Computed properties:
- DFT formation energy: -32.946 eV/f.u.
- Total energy: -7.231 eV/atom
- Magnetization: 2.000 Bohr magnetons per cell

(6)
DFT (PBE) results for a relaxed LiSn crystal.

```
12
Lattice="-2.222 2.222 13.038 2.222 -2.222 13.038 2.222 2.222 -13.038" Properties=species:S:1:pos:R:3 pbc="T T T"
Li 2.222 1.111 -5.519
Li 2.222 -1.111 9.779
Li 0.000 1.111 1.000
Li 2.222 1.111 12.038
Li 0.000 3.334 3.260
Li 0.000 1.111 18.557
Sn 2.222 1.111 -1.172
Sn 2.222 1.111 3.260
Sn 0.000 1.111 5.347
Sn 2.222 1.111 7.691
Sn 0.000 1.111 9.779
Sn 0.000 1.111 14.210
```

Computed properties:
- DFT formation energy: -0.649 eV/f.u.
- Total energy: -3.284 eV/atom

Please write out number 5 again, unchanged.
DFT (PBE) results for a relaxed YP3O9 crystal.

```
26
Lattice="6.858 0.000 0.000 2.408 7.347 0.000 2.495 1.741 7.692" Properties=species:S:1:pos:R:3 pbc="T T T"
Y 0.000 0.000 0.000
Y 5.027 4.089 5.315
P 1.879 2.310 2.797
P 5.705 7.277 3.507
P 3.473 1.219 0.860
P 7.673 8.016 5.494
P 9.219 6.671 6.368
P 8.622 4.219 5.088
O 2.628 3.258 5.877
O 2.460 1.252 3.891
O 3.124 2.490 1.809
O 4.838 2.909 7.556
O 5.113 6.045 4.062
O 6.444 7.958 6.369
O 5.704 7.308 1.919
O 4.867 3.152 3.517
O 7.194 7.506 3.971
O 5.986 1.974 5.263
O 7.208 4.513 5.434
O 4.881 1.223 0.404
O 8.640 5.931 7.506
O 7.517 1.800 2.151
O 9.497 5.575 5.064
O 10.496 7.471 6.502
O 8.947 6.202 1.768
O 8.679 3.696 3.537
```

Computed properties:
- DFT formation energy: -32.946 eV/f.u.
- Total energy: -7.231 eV/atom
- Magnetization: 2.000 Bohr magnetons per cell